(1)
Material: KCo2H3Se2O10
Method: DFT, PBE with a Hubbard U
State: relaxed

The raw total energy comes out at -5.381 eV/atom. The calculation puts the formation energy from the elements at -1391 meV/atom.

a b c (Å): 6.624 7.986 9.182
angles (deg): 99.77 90.00 114.50
Element x y z (fractional)
K 0.752 0.504 0.245
K 0.252 0.504 0.745
H 0.493 0.987 0.013
H 0.894 0.787 0.578
H 0.394 0.787 0.078
H 0.607 0.214 0.922
H 0.993 0.987 0.513
H 0.107 0.214 0.422
O 0.755 0.510 0.549
O 0.249 0.499 0.444
O 0.679 0.779 0.851
O 0.462 0.924 0.110
O 0.825 0.229 0.641
O 0.962 0.924 0.610
O 0.404 0.229 0.641
O 0.425 0.850 0.614
O 0.325 0.229 0.141
O 0.179 0.779 0.351
O 0.904 0.229 0.141
O 0.580 0.160 0.378
O 0.539 0.078 0.885
O 0.080 0.160 0.878
O 0.749 0.499 0.944
O 0.925 0.850 0.114
O 0.099 0.779 0.851
O 0.255 0.510 0.049
O 0.599 0.779 0.351
O 0.039 0.078 0.385
Se 0.361 0.723 0.437
Se 0.643 0.286 0.556
Se 0.862 0.723 0.937
Se 0.143 0.286 0.056
Co 0.258 0.008 0.752
Co 0.250 0.008 0.252
Co 0.750 0.008 0.752
Co 0.758 0.008 0.252



(2)
Material: K2CoH4Se2O10
Method: DFT, PBE with a Hubbard U
State: relaxed

The raw total energy comes out at -5.208 eV/atom. Its space-group type is P-1. The calculation puts the formation energy from the elements at -1478 meV/atom.

a b c (Å): 8.034 15.237 9.021
angles (deg): 92.50 110.33 99.52
Element x y z (fractional)
K 0.164 0.425 0.424
K 0.336 0.825 0.076
K 0.664 0.175 0.924
K 0.836 0.075 0.576
K 0.664 0.675 0.924
K 0.336 0.325 0.075
K 0.836 0.575 0.576
K 0.164 0.925 0.424
O 0.383 0.481 0.767
O 0.009 0.131 0.092
O 0.882 0.231 0.266
O 0.632 0.310 0.349
O 0.743 0.008 0.830
O 0.868 0.940 0.151
O 0.617 0.519 0.234
O 0.427 0.648 0.092
O 0.868 0.440 0.150
O 0.117 0.769 0.734
O 0.991 0.369 0.908
O 0.883 0.731 0.266
O 0.073 0.602 0.408
O 0.757 0.743 0.669
O 0.009 0.631 0.092
O 0.257 0.493 0.169
O 0.573 0.852 0.908
O 0.927 0.398 0.592
O 0.491 0.119 0.408
O 0.757 0.243 0.670
O 0.118 0.269 0.734
O 0.368 0.690 0.650
O 0.491 0.619 0.408
O 0.618 0.019 0.234
O 0.243 0.258 0.330
O 0.743 0.507 0.831
O 0.132 0.060 0.849
O 0.573 0.352 0.908
O 0.510 0.381 0.592
O 0.509 0.881 0.592
O 0.243 0.757 0.331
O 0.368 0.190 0.651
O 0.257 0.992 0.170
O 0.073 0.102 0.408
O 0.990 0.869 0.908
O 0.382 0.981 0.766
O 0.632 0.810 0.350
O 0.132 0.560 0.850
O 0.427 0.148 0.093
O 0.927 0.898 0.592
H 0.766 0.897 0.071
H 0.734 0.854 0.429
H 0.195 0.519 0.812
H 0.695 0.769 0.312
H 0.234 0.103 0.929
H 0.305 0.231 0.688
H 0.305 0.731 0.688
H 0.805 0.481 0.188
H 0.766 0.396 0.071
H 0.695 0.269 0.312
H 0.805 0.981 0.188
H 0.195 0.019 0.812
H 0.266 0.646 0.571
H 0.734 0.353 0.429
H 0.234 0.604 0.929
H 0.266 0.146 0.571
Se 0.950 0.321 0.723
Se 0.550 0.929 0.777
Se 0.450 0.571 0.223
Se 0.551 0.429 0.777
Se 0.050 0.679 0.277
Se 0.949 0.822 0.723
Se 0.050 0.179 0.277
Se 0.450 0.071 0.223
Co 0.000 0.000 0.000
Co 0.500 0.750 0.500
Co 0.000 0.500 0.000
Co 0.500 0.250 0.500



(3)
Material: K2CoH4Se2O10
Method: DFT, PBE with a Hubbard U
State: relaxed

The raw total energy comes out at -4.281 eV/atom. Its space-group type is P-1. The calculation puts the formation energy from the elements at -551 meV/atom.

a b c (Å): 6.673 7.675 5.599
angles (deg): 96.26 105.29 111.86
Element x y z (fractional)
O 0.616 0.262 0.421
O 0.278 0.026 0.993
O 0.922 0.638 0.747
O 0.091 0.856 0.271
O 0.078 0.362 0.253
O 0.384 0.738 0.579
O 0.909 0.144 0.729
O 0.722 0.974 0.007
O 0.662 0.393 0.871
O 0.338 0.607 0.129
Co 0.000 0.000 0.000
Se 0.772 0.361 0.693
Se 0.228 0.639 0.307
H 0.310 0.865 0.017
H 0.625 0.839 0.868
H 0.375 0.161 0.132
H 0.690 0.135 0.983
K 0.257 0.283 0.679
K 0.743 0.717 0.321



(4)
Material: KCo2H3Se2O10
Method: DFT, PBE with a Hubbard U
State: relaxed

The raw total energy comes out at -4.971 eV/atom. Its space-group type is Cm. The calculation puts the formation energy from the elements at -981 meV/atom.

a b c (Å): 7.799 7.799 7.083
angles (deg): 67.69 67.69 54.50
Element x y z (fractional)
Se 0.824 0.824 0.223
Se 0.118 0.118 0.880
Co 0.957 0.501 0.587
Co 0.501 0.957 0.587
O 0.273 0.888 0.782
O 0.888 0.273 0.782
O 0.690 0.690 0.415
O 0.691 0.691 0.966
O 0.371 0.371 0.919
O 0.725 0.725 0.759
O 0.252 0.252 0.682
O 0.432 0.432 0.023
O 0.670 0.053 0.326
O 0.053 0.670 0.326
H 0.506 0.506 0.915
H 0.027 0.027 0.498
H 0.982 0.982 0.467
K 0.483 0.483 0.420



(5)
Material: Li4Co3P4H18O24
Method: DFT, PBE with a Hubbard U
State: relaxed

The raw total energy comes out at -5.759 eV/atom. Its space-group type is P2_1/c. The calculation puts the formation energy from the elements at -1815 meV/atom.

a b c (Å): 9.145 7.202 14.786
angles (deg): 86.16 90.00 90.00
Element x y z (fractional)
H 0.744 0.364 0.550
H 0.250 0.854 0.821
H 0.005 0.877 0.201
H 0.191 0.543 0.631
H 0.691 0.457 0.869
H 0.322 0.844 0.225
H 0.902 0.275 0.383
H 0.260 0.420 0.441
H 0.730 0.746 0.771
H 0.760 0.580 0.059
H 0.495 0.877 0.701
H 0.098 0.725 0.617
H 0.809 0.457 0.369
H 0.740 0.580 0.559
H 0.240 0.420 0.941
H 0.151 0.172 0.295
H 0.678 0.156 0.775
H 0.750 0.146 0.679
H 0.256 0.636 0.450
H 0.995 0.123 0.799
H 0.598 0.275 0.883
H 0.750 0.146 0.179
H 0.849 0.828 0.705
H 0.178 0.844 0.725
H 0.402 0.725 0.117
H 0.822 0.156 0.275
H 0.349 0.172 0.795
H 0.230 0.254 0.729
H 0.250 0.854 0.321
H 0.244 0.636 0.950
H 0.270 0.254 0.229
H 0.770 0.746 0.271
H 0.756 0.364 0.050
H 0.651 0.828 0.205
H 0.309 0.543 0.131
H 0.505 0.123 0.299
O 0.368 0.793 0.493
O 0.030 0.918 0.134
O 0.133 0.985 0.382
O 0.589 0.414 0.876
O 0.464 0.213 0.206
O 0.057 0.565 0.128
O 0.132 0.793 0.993
O 0.166 0.270 0.246
O 0.445 0.227 0.032
O 0.867 0.745 0.029
O 0.036 0.213 0.706
O 0.696 0.467 0.074
O 0.859 0.052 0.381
O 0.470 0.918 0.634
O 0.557 0.435 0.372
O 0.632 0.207 0.507
O 0.367 0.255 0.471
O 0.196 0.533 0.426
O 0.304 0.533 0.926
O 0.970 0.082 0.866
O 0.055 0.227 0.532
O 0.359 0.948 0.119
O 0.186 0.774 0.785
O 0.911 0.414 0.376
O 0.633 0.015 0.118
O 0.945 0.773 0.468
O 0.834 0.730 0.754
O 0.641 0.052 0.881
O 0.867 0.015 0.618
O 0.633 0.745 0.529
O 0.141 0.948 0.619
O 0.964 0.787 0.294
O 0.530 0.082 0.366
O 0.814 0.226 0.215
O 0.943 0.435 0.872
O 0.089 0.586 0.624
O 0.411 0.586 0.124
O 0.536 0.787 0.794
O 0.334 0.270 0.746
O 0.666 0.730 0.254
O 0.443 0.565 0.628
O 0.314 0.774 0.285
O 0.133 0.255 0.971
O 0.686 0.226 0.715
O 0.555 0.773 0.968
O 0.367 0.985 0.882
O 0.868 0.207 0.007
O 0.804 0.467 0.574
Co 0.244 0.027 0.499
Co 0.000 0.500 0.500
Co 0.756 0.973 0.501
Co 0.500 0.500 0.000
Co 0.256 0.027 0.999
Co 0.744 0.973 0.001
Li 0.003 0.283 0.144
Li 0.898 0.448 0.715
Li 0.497 0.283 0.644
Li 0.503 0.717 0.356
Li 0.602 0.448 0.215
Li 0.102 0.552 0.285
Li 0.997 0.717 0.856
Li 0.398 0.552 0.785
P 0.022 0.745 0.072
P 0.522 0.255 0.428
P 0.977 0.895 0.380
P 0.523 0.895 0.880
P 0.978 0.255 0.928
P 0.477 0.105 0.120
P 0.478 0.745 0.572
P 0.023 0.105 0.620



(6)
Material: LiCo2P4H3O14
Method: DFT, PBE with a Hubbard U
State: relaxed

The raw total energy comes out at -6.571 eV/atom. Its space-group type is Cc. The calculation puts the formation energy from the elements at -2223 meV/atom.

a b c (Å): 8.594 8.594 8.978
angles (deg): 69.45 69.45 99.66
Element x y z (fractional)
O 0.878 0.361 0.052
O 0.668 0.103 0.730
O 0.356 0.248 0.306
O 0.871 0.932 0.209
O 0.126 0.643 0.948
O 0.130 0.068 0.791
O 0.361 0.878 0.552
O 0.080 0.290 0.480
O 0.766 0.547 0.858
O 0.453 0.234 0.642
O 0.068 0.130 0.291
O 0.646 0.753 0.692
O 0.643 0.126 0.448
O 0.598 0.223 0.038
O 0.223 0.598 0.538
O 0.330 0.896 0.273
O 0.932 0.871 0.709
O 0.753 0.646 0.192
O 0.402 0.779 0.962
O 0.896 0.330 0.773
O 0.779 0.402 0.462
O 0.290 0.080 0.980
O 0.234 0.453 0.142
O 0.921 0.711 0.520
O 0.248 0.356 0.806
O 0.103 0.668 0.230
O 0.711 0.921 0.020
O 0.547 0.766 0.358
P 0.645 0.218 0.572
P 0.823 0.729 0.689
P 0.270 0.178 0.813
P 0.218 0.645 0.072
P 0.729 0.823 0.189
P 0.787 0.355 0.936
P 0.178 0.270 0.313
P 0.355 0.787 0.436
Li 0.147 0.863 0.742
Li 0.863 0.147 0.242
Co 0.502 0.004 0.004
Co 0.908 0.093 0.752
Co 0.093 0.908 0.252
Co 0.004 0.502 0.504
H 0.440 0.235 0.202
H 0.235 0.440 0.702
H 0.563 0.765 0.796
H 0.765 0.563 0.296
H 0.528 0.022 0.494
H 0.022 0.528 0.994



(7)
Material: LiCoHSO5
Method: DFT, PBE with a Hubbard U
State: relaxed

The raw total energy comes out at -5.858 eV/atom. Its space-group type is P2_1/c. The calculation puts the formation energy from the elements at -1834 meV/atom.

a b c (Å): 5.460 7.432 9.844
angles (deg): 69.81 90.00 90.00
Element x y z (fractional)
Co 0.769 0.880 0.551
Co 0.231 0.120 0.449
Co 0.269 0.620 0.449
Co 0.731 0.380 0.551
O 0.582 0.866 0.902
O 0.316 0.516 0.831
O 0.418 0.134 0.098
O 0.443 0.797 0.246
O 0.943 0.703 0.754
O 0.816 0.984 0.169
O 0.072 0.867 0.434
O 0.428 0.367 0.434
O 0.552 0.040 0.351
O 0.052 0.460 0.649
O 0.557 0.203 0.754
O 0.684 0.484 0.169
O 0.184 0.016 0.831
O 0.948 0.540 0.351
O 0.928 0.133 0.566
O 0.918 0.366 0.902
O 0.082 0.634 0.098
O 0.572 0.633 0.566
O 0.057 0.297 0.246
O 0.448 0.960 0.649
S 0.941 0.489 0.215
S 0.059 0.511 0.785
S 0.441 0.011 0.785
S 0.559 0.989 0.215
Li 0.940 0.815 0.914
Li 0.560 0.315 0.914
Li 0.060 0.185 0.086
Li 0.440 0.685 0.086
H 0.491 0.398 0.335
H 0.009 0.898 0.335
H 0.509 0.602 0.665
H 0.991 0.102 0.665



(8)
Material: MgCo2H2O4
Method: DFT, PBE with a Hubbard U
State: relaxed

The raw total energy comes out at -5.431 eV/atom. Its space-group type is Pm. The calculation puts the formation energy from the elements at -1390 meV/atom.

a b c (Å): 3.274 3.302 9.988
angles (deg): 90.00 90.00 119.48
Element x y z (fractional)
O 0.168 0.845 0.366
O 0.806 0.205 0.873
O 0.806 0.205 0.627
O 0.168 0.845 0.134
H 0.161 0.842 0.250
H 0.806 0.206 0.750
Co 0.138 0.867 0.937
Co 0.138 0.867 0.563
Mg 0.831 0.181 0.250



(9)
Material: MgCo2H2O4
Method: DFT, PBE with a Hubbard U
State: relaxed

The raw total energy comes out at -5.379 eV/atom. Its space-group type is Amm2. The calculation puts the formation energy from the elements at -1337 meV/atom.

a b c (Å): 3.182 3.266 9.397
angles (deg): 90.00 90.00 119.16
Element x y z (fractional)
Mg 0.670 0.340 0.250
H 0.658 0.315 0.750
H 0.344 0.688 0.250
Co 0.998 0.996 0.957
Co 0.998 0.996 0.543
O 0.339 0.679 0.124
O 0.339 0.679 0.376
O 0.660 0.321 0.620
O 0.660 0.321 0.880